(1)
The following is a r2SCAN calculation of a relaxed structure of V3O5F, from Materials Project.

Geometry as extended XYZ:
```
18
Lattice="8.687 0.000 0.000 0.000 4.579 0.000 0.000 0.000 4.588" Properties=species:S:1:pos:R:3 pbc="T T T"
V 0.000 1.044 0.000
V 1.569 3.467 2.512
V 2.774 1.112 0.218
V 4.343 3.535 2.294
V 5.913 1.112 0.218
V 7.118 3.467 2.512
O 0.000 4.287 3.293
O 1.445 0.211 1.070
O 1.468 2.058 3.799
O 2.876 2.522 1.505
O 2.898 4.368 3.364
O 4.343 0.292 0.999
O 5.789 4.368 3.364
O 5.811 2.522 1.505
O 7.219 2.058 3.799
O 7.242 0.211 1.070
F 0.000 2.502 1.508
F 4.343 2.078 3.801
```

Its calculated volume is 182.5 Å³/cell. The value obtained for the energy above the most stable polymorph in this dataset is 0 meV/atom. The formation energy is -2.75 eV/atom.



(2)
The following is a r2SCAN calculation of a relaxed structure of ScCo2, from Materials Project.

Geometry as extended XYZ:
```
6
Lattice="0.000 3.448 3.448 3.448 0.000 3.448 3.448 3.448 0.000" Properties=species:S:1:pos:R:3 pbc="T T T"
Sc 0.862 0.862 0.862
Sc 6.033 6.033 6.033
Co 3.448 1.724 1.724
Co 1.724 3.448 1.724
Co 1.724 1.724 3.448
Co 3.448 3.448 3.448
```

Its calculated volume is 82.0 Å³/cell. The formation energy is -0.27 eV/atom.



(3)
The following is a r2SCAN calculation of a relaxed structure of Eu3B2Pt7, from Materials Project.

Geometry as extended XYZ:
```
12
Lattice="2.779 1.604 7.662 -2.779 1.604 7.662 0.000 -3.209 7.662" Properties=species:S:1:pos:R:3 pbc="T T T"
Eu 0.000 0.000 0.000
Eu 0.000 0.000 3.308
Eu 0.000 0.000 19.680
B 0.000 0.000 7.614
B 0.000 0.000 15.373
Pt -1.380 -0.797 9.165
Pt 0.000 -1.593 13.822
Pt -1.380 0.797 13.822
Pt 0.000 0.000 11.494
Pt 1.380 -0.797 9.165
Pt 0.000 1.593 9.165
Pt 1.380 0.797 13.822
```

Its calculated volume is 205.0 Å³/cell. The formation energy is -0.94 eV/atom.



(4)
The following is a r2SCAN calculation of a relaxed structure of Li2VGaO4, from Materials Project.

Geometry as extended XYZ:
```
48
Lattice="-1.291 -0.651 4.853 -2.284 -10.265 0.572 6.938 -3.692 3.896" Properties=species:S:1:pos:R:3 pbc="T T T"
O 5.431 -6.064 7.476
V 2.849 -12.231 6.010
Ga 0.506 -11.023 4.702
Li -0.015 -5.739 0.929
V 0.477 -2.395 3.293
O -1.538 -5.242 4.018
O 4.840 -6.525 4.822
O 0.820 -9.350 5.815
Li 4.596 -2.453 2.591
Ga 2.826 -3.608 4.607
O 2.503 -2.418 3.047
Li 1.008 -10.557 7.542
O 0.871 -6.430 5.369
O 3.151 -4.798 6.168
O 2.499 -11.051 4.418
Li -1.256 -12.136 6.714
Li 4.621 -5.339 3.077
O 4.830 -9.397 5.281
O 0.226 -6.908 2.684
V 2.805 -9.373 5.527
V 0.565 -8.108 4.261
O -2.029 -8.547 1.874
O 3.144 -10.574 7.103
O 2.582 -5.262 3.536
O -1.471 -10.957 4.966
O 0.817 -3.596 4.869
Li 3.388 -11.741 8.859
O 4.837 -3.622 4.346
O 0.229 -9.811 3.161
O -1.461 -8.084 4.506
O 0.223 -1.154 1.739
Li 3.355 -8.850 8.376
V 0.522 -5.252 3.776
O 3.198 -13.409 7.603
O 0.172 -4.073 2.184
Ga -1.749 -9.744 3.425
Li 2.368 -6.936 2.249
O 0.788 -12.220 6.252
Ga 5.118 -7.736 6.364
O 3.140 -7.671 6.627
Li -1.319 -3.579 5.308
Ga -1.785 -6.894 2.945
Li 1.062 -4.762 6.625
V 5.176 -4.822 5.923
Li -2.243 -10.221 0.588
Ga 2.863 -6.458 5.086
Li 0.010 -8.625 1.415
O 2.551 -8.132 3.973
```

Its calculated volume is 427.0 Å³/cell. The formation energy is -2.36 eV/atom.



(5)
The following is a r2SCAN calculation of a relaxed structure of NiN2F14, from Materials Project.

Geometry as extended XYZ:
```
17
Lattice="-3.335 3.335 4.588 3.335 -3.335 4.588 3.335 3.335 -4.588" Properties=species:S:1:pos:R:3 pbc="T T T"
Ni 0.000 0.000 0.000
N 3.335 0.000 2.294
N 0.000 3.335 2.294
F 2.818 -0.955 1.533
F 1.571 0.863 0.000
F 0.000 0.000 1.783
F 2.471 -1.764 4.588
F 4.290 -0.517 3.055
F 3.851 0.955 1.533
F 2.379 0.517 3.055
F 0.955 2.818 1.533
F -0.517 2.379 3.055
F -0.955 3.851 1.533
F 0.863 5.098 0.000
F 0.000 0.000 7.393
F 1.764 2.471 4.588
F 0.517 4.290 3.055
```

Its calculated volume is 204.1 Å³/cell. The formation energy is -0.77 eV/atom.



(6)
The following is a r2SCAN calculation of a relaxed structure of Ho3Sb5O12, from Materials Project.

Geometry as extended XYZ:
```
40
Lattice="-5.360 5.360 5.360 5.360 -5.360 5.360 5.360 5.360 -5.360" Properties=species:S:1:pos:R:3 pbc="T T T"
Ho 5.360 2.680 0.000
Ho 5.360 0.000 2.680
Ho 2.680 5.360 0.000
Ho 2.680 0.000 5.360
Ho 0.000 5.360 2.680
Ho 0.000 2.680 5.360
Sb 2.772 2.772 -2.772
Sb 3.016 0.000 0.000
Sb 2.772 -2.772 2.772
Sb 7.704 0.000 0.000
Sb 0.000 3.016 0.000
Sb 0.000 0.000 3.016
Sb 2.588 2.588 2.588
Sb -2.772 2.772 2.772
Sb 0.000 7.704 0.000
Sb 0.000 0.000 7.704
O 3.638 1.490 -1.490
O 3.638 -1.490 1.490
O 6.465 1.080 -1.080
O 6.465 -1.080 1.080
O 1.490 3.638 -1.490
O 1.490 -1.490 3.638
O 4.255 1.080 1.080
O 7.081 1.490 1.490
O 4.279 4.279 -1.105
O 4.279 -1.105 4.279
O -1.490 3.638 1.490
O -1.490 1.490 3.638
O 1.080 4.255 1.080
O 1.080 1.080 4.255
O 1.080 6.465 -1.080
O 1.080 -1.080 6.465
O 3.870 3.870 1.722
O 3.870 1.722 3.870
O -1.080 6.465 1.080
O -1.080 1.080 6.465
O 1.722 3.870 3.870
O -1.105 4.279 4.279
O 1.490 7.081 1.490
O 1.490 1.490 7.081
```

Its calculated volume is 615.9 Å³/cell. The formation energy is -2.47 eV/atom.



(7)
The following is a r2SCAN calculation of a relaxed structure of TiN, from Materials Project.

Geometry as extended XYZ:
```
8
Lattice="4.241 0.000 0.000 0.000 4.241 0.000 0.000 0.000 4.241" Properties=species:S:1:pos:R:3 pbc="T T T"
Ti 0.000 0.000 0.000
Ti 0.000 2.121 2.121
Ti 2.121 0.000 2.121
Ti 2.121 2.121 0.000
N 0.000 0.000 2.121
N 0.000 2.121 0.000
N 2.121 0.000 0.000
N 2.121 2.121 2.121
```

Its calculated volume is 76.3 Å³/cell. The formation energy is -1.94 eV/atom.



(8)
The following is a r2SCAN calculation of a relaxed structure of MnBr2, from Materials Project.

Geometry as extended XYZ:
```
12
Lattice="0.000 5.481 5.481 5.481 0.000 5.481 5.481 5.481 0.000" Properties=species:S:1:pos:R:3 pbc="T T T"
Mn 0.000 0.000 0.000
Mn 2.740 2.740 0.000
Mn 2.740 0.000 2.740
Mn 0.000 2.740 2.740
Br 8.266 5.436 5.436
Br 2.695 2.695 2.695
Br 5.525 5.525 2.695
Br 5.525 2.695 5.525
Br 5.436 8.266 5.436
Br 5.436 5.436 8.266
Br 8.266 8.266 8.266
Br 2.695 5.525 5.525
```

Its calculated volume is 329.2 Å³/cell. The formation energy is -1.29 eV/atom.